The following is a DFT calculation (PBE) of a relaxed Si5Pt12 crystal.

## Properties
DFT total energy ... -6.460 eV per atom
Formation energy ... -0.5789 eV per atom
Relative energy among the computed polymorphs ... 0.0 meV/atom

a b c (Å): 13.5709 13.5709 5.6186
angles (deg): 90.00 90.00 90.00
With the nearest neighbours (Å) after each atom.
Fractional coordinates of all 68 atoms:
Si1 0.0570 0.3631 0.0656  6 Pt 2.38-2.58
Si2 0.0646 0.8656 0.5146  8 Pt 2.44-2.72
Si3 0.1344 0.5646 0.4854  8 Pt 2.44-2.72
Si4 0.1369 0.0570 0.0656  6 Pt 2.38-2.58
Si5 0.2500 0.2500 0.5547  8 Pt 2.46-2.48
Si6 0.2500 0.7500 0.0000  8 Pt 2.43-2.60
Si7 0.3631 0.4430 0.0656  6 Pt 2.38-2.58
Si8 0.3656 0.9354 0.4854  8 Pt 2.44-2.72
Si9 0.4354 0.6344 0.5146  8 Pt 2.44-2.72
Si10 0.4430 0.1369 0.0656  6 Pt 2.38-2.58
Si11 0.5570 0.8631 0.9344  6 Pt 2.38-2.58
Si12 0.5646 0.3656 0.4854  8 Pt 2.44-2.72
Si13 0.6344 0.0646 0.5146  8 Pt 2.44-2.72
Si14 0.6369 0.5570 0.9344  6 Pt 2.38-2.58
Si15 0.7500 0.2500 0.0000  8 Pt 2.43-2.60
Si16 0.7500 0.7500 0.4453  8 Pt 2.46-2.48
Si17 0.8631 0.9430 0.9344  6 Pt 2.38-2.58
Si18 0.8656 0.4354 0.5146  8 Pt 2.44-2.72
Si19 0.9354 0.1344 0.4854  8 Pt 2.44-2.72
Si20 0.9430 0.6369 0.9344  6 Pt 2.38-2.58
Pt1 0.0363 0.9033 0.9630  3 Si 2.42-2.60
Pt2 0.0429 0.4160 0.5979  3 Si 2.45-2.73
Pt3 0.0840 0.0429 0.5979  3 Si 2.45-2.73
Pt4 0.0944 0.7129 0.7449  4 Si 2.48-2.60
Pt5 0.0967 0.5363 0.0370  3 Si 2.42-2.60
Pt6 0.1029 0.2153 0.3070  4 Si 2.48-2.72
Pt7 0.1032 0.2316 0.8072  2 Si 2.38-2.46
Pt8 0.1038 0.7303 0.2457  3 Si 2.43-2.65
Pt9 0.2129 0.9056 0.2551  4 Si 2.48-2.60
Pt10 0.2153 0.3971 0.3070  4 Si 2.48-2.72
Pt11 0.2303 0.8962 0.7543  3 Si 2.43-2.65
Pt12 0.2316 0.3968 0.8072  2 Si 2.38-2.46
Pt13 0.2684 0.1032 0.8072  2 Si 2.38-2.46
Pt14 0.2697 0.6038 0.7543  3 Si 2.43-2.65
Pt15 0.2847 0.1029 0.3070  4 Si 2.48-2.72
Pt16 0.2871 0.5944 0.2551  4 Si 2.48-2.60
Pt17 0.3962 0.7697 0.2457  3 Si 2.43-2.65
Pt18 0.3968 0.2684 0.8072  2 Si 2.38-2.46
Pt19 0.3971 0.2847 0.3070  4 Si 2.48-2.72
Pt20 0.4033 0.9637 0.0370  3 Si 2.42-2.60
Pt21 0.4056 0.7871 0.7449  4 Si 2.48-2.60
Pt22 0.4160 0.4571 0.5979  3 Si 2.45-2.73
Pt23 0.4571 0.0840 0.5979  3 Si 2.45-2.73
Pt24 0.4637 0.5967 0.9630  3 Si 2.42-2.60
Pt25 0.5363 0.4033 0.0370  3 Si 2.42-2.60
Pt26 0.5429 0.9160 0.4021  3 Si 2.45-2.73
Pt27 0.5840 0.5429 0.4021  3 Si 2.45-2.73
Pt28 0.5944 0.2129 0.2551  4 Si 2.48-2.60
Pt29 0.5967 0.0363 0.9630  3 Si 2.42-2.60
Pt30 0.6029 0.7153 0.6930  4 Si 2.48-2.72
Pt31 0.6032 0.7316 0.1928  2 Si 2.38-2.46
Pt32 0.6038 0.2303 0.7543  3 Si 2.43-2.65
Pt33 0.7129 0.4056 0.7449  4 Si 2.48-2.60
Pt34 0.7153 0.8971 0.6930  4 Si 2.48-2.72
Pt35 0.7303 0.3962 0.2457  3 Si 2.43-2.65
Pt36 0.7316 0.8968 0.1928  2 Si 2.38-2.46
Pt37 0.7684 0.6032 0.1928  2 Si 2.38-2.46
Pt38 0.7697 0.1038 0.2457  3 Si 2.43-2.65
Pt39 0.7847 0.6029 0.6930  4 Si 2.48-2.72
Pt40 0.7871 0.0944 0.7449  4 Si 2.48-2.60
Pt41 0.8962 0.2697 0.7543  3 Si 2.43-2.65
Pt42 0.8968 0.7684 0.1928  2 Si 2.38-2.46
Pt43 0.8971 0.7847 0.6930  4 Si 2.48-2.72
Pt44 0.9033 0.4637 0.9630  3 Si 2.42-2.60
Pt45 0.9056 0.2871 0.2551  4 Si 2.48-2.60
Pt46 0.9160 0.9571 0.4021  3 Si 2.45-2.73
Pt47 0.9571 0.5840 0.4021  3 Si 2.45-2.73
Pt48 0.9637 0.0967 0.0370  3 Si 2.42-2.60